# 1
PBE with a Hubbard U NiSb2H8O6F8, relaxed; SG = P2_1/c; total energy = -4.611 eV per atom; magnetic moment = 0.08 μB/atom; E_form = -1578 meV/atom
1.0
4.4142 0.0000 -2.3967
0.0000 17.4698 0.0000
-0.0794 0.0000 7.6188
F H O Sb Ni
16 16 12 4 2
Cartesian
0.2388 3.3593 1.8337
0.0407 15.7540 0.2179
0.3472 5.7448 0.7336
4.1357 12.0942 -0.4210
2.9518 4.7425 1.0810
4.3338 7.0191 1.1947
0.0010 10.4507 4.0273
4.2941 1.7158 5.0041
1.4227 13.4774 0.3317
0.3075 2.9901 4.5429
4.0960 14.1105 3.3883
4.0273 14.4797 0.6791
0.1991 5.3756 5.6431
1.3830 12.7273 4.1411
3.9876 11.7250 4.4885
2.9121 3.9924 4.8904
3.3549 6.7952 5.6908
0.3036 7.9234 5.1360
1.3741 1.8304 4.1423
1.3536 10.1190 4.5454
2.9210 10.5653 4.8891
2.9812 7.3508 0.6766
2.9607 15.6393 1.0797
3.9915 16.6583 3.8954
1.3933 16.0857 0.7360
4.0312 9.5464 0.0860
0.3433 0.8115 1.3266
0.9799 10.6746 -0.4687
2.9415 1.3841 4.4860
3.3946 1.9397 1.8814
0.9402 15.5301 3.3407
1.4138 6.9044 0.3330
0.3935 0.3164 2.1973
2.2699 9.7994 4.8727
2.5617 7.2969 5.3430
3.9413 17.1534 3.0248
3.9810 9.0513 -0.7846
1.7334 16.0318 3.6884
2.0253 1.0645 4.1587
0.3538 8.4185 6.0067
2.6014 1.4380 1.5336
2.0649 7.6704 0.3493
1.7731 10.1729 -0.1209
2.3095 16.4053 1.0634
3.8561 12.5207 1.5222
0.4787 4.9491 3.6998
0.5183 3.7858 -0.1096
3.8165 13.6840 5.3316
2.2071 8.7349 -1.1984
2.1674 0.0000 2.6110

***

# 2
PBE with a Hubbard U MgTi2CoO7, relaxed; SG = P2_1/c; total energy = -7.400 eV per atom; magnetic moment = 0.36 μB/atom; E_form = -2611 meV/atom
1.0
-5.1478 3.5951 -1.6305
-1.4916 -2.3327 11.8450
7.5071 12.2744 3.3626
O Ti Mg Co
56 16 8 8
Cartesian
3.2316 9.8467 8.6294
2.1666 6.6736 4.3283
5.7394 9.8930 6.9212
3.6663 9.1052 5.4792
0.4013 8.6647 2.7390
-1.2485 9.7011 7.9608
0.0809 8.0229 12.1461
0.7868 5.5139 1.4310
0.2626 11.9720 8.3050
-4.8717 3.6438 6.6559
-2.3947 3.6927 11.1905
2.1957 3.7481 8.7434
0.6051 1.5647 5.2721
-0.8131 7.2984 6.2705
2.4646 11.8673 6.9573
-1.2988 6.8631 9.2488
-4.0610 2.2939 1.7550
-1.9047 6.3364 11.7904
0.0076 3.2432 3.5109
3.3399 6.0227 12.1030
-2.7986 4.4316 8.0979
0.4920 12.8174 11.9055
-2.3639 3.6901 4.9477
4.9287 11.2429 11.8221
5.8640 13.0250 2.9238
1.8145 10.2909 12.7507
-0.4394 6.0878 3.4859
-0.5380 2.4040 9.5231
-1.3279 9.7886 4.8337
-4.9962 0.5118 10.6533
-1.8939 0.9598 3.5242
0.4665 4.8721 10.8381
0.3757 0.7194 1.6716
5.3650 11.4922 9.2045
1.4058 11.1328 4.0541
-0.9468 3.2459 0.8265
0.8601 10.2936 10.0662
0.1072 11.6650 1.9788
-0.3812 4.2236 7.3364
-4.4972 2.0446 4.3726
2.7725 7.2003 1.7867
3.3355 8.6174 11.5876
-0.5051 -0.3973 10.6988
-1.5969 1.6695 6.6199
1.3072 7.4490 10.0912
2.7617 12.5770 10.0529
4.0174 11.8273 5.0487
-3.1497 1.7094 8.5285
-2.4678 4.9194 1.9895
1.3728 13.9340 2.8784
-2.4722 7.5140 1.4741
3.2625 9.8441 2.3867
1.2490 9.3132 6.2408
2.1163 3.8357 5.6164
1.6808 6.2384 7.3067
0.7605 1.8718 11.5983
-0.3247 6.6226 10.7201
-2.9124 0.2556 7.2749
3.7801 13.2812 6.3022
1.1925 6.9142 2.8570
-3.2514 5.1947 11.5603
-1.7676 2.7905 8.1164
1.4559 8.8708 11.1890
1.1107 11.8237 13.3692
4.1191 8.3421 2.0168
2.6353 10.7462 5.4607
-0.2430 1.7130 0.2080
-0.5284 9.0907 6.3784
-0.5881 4.6660 2.3881
-4.1316 3.7024 4.9094
1.3962 4.4461 7.1987
4.9994 9.8344 8.6677
-1.5272 5.9018 7.5042
-1.6936 8.6871 3.0410
3.8243 10.0250 12.9697
2.5614 4.8496 10.5362
2.3950 7.6350 6.0729
6.7154 11.5886 6.1403
-5.8476 1.9482 7.4369
-2.9565 3.5118 0.6074
-4.5691 4.5252 8.3101
4.3201 7.2387 11.0234
5.4368 9.0116 5.2670
-1.1759 2.1614 4.7164
1.3439 10.1782 2.2907
2.0437 11.3754 8.8607
-0.4762 3.3585 11.2864
-3.4524 6.2981 2.5537

***

# 3
PBE with a Hubbard U KSrNdWO6, relaxed; SG = Pnnn; total energy = -7.039 eV per atom; magnetic moment = 0.00 μB/atom; E_form = -2873 meV/atom
1.0
8.5122 0.0000 0.0000
0.0000 8.4959 0.0000
0.0000 0.0000 8.5115
Sr O Nd K W
4 24 4 4 4
Cartesian
4.2561 4.2480 0.0000
0.0000 0.0000 4.2558
0.0000 0.0000 0.0000
4.2561 4.2480 4.2558
6.1511 1.9297 4.4484
4.0690 2.4437 1.9180
6.2276 8.2978 1.8847
0.1871 1.8043 2.3377
6.5407 4.0498 6.1404
1.8950 2.3183 0.1926
6.5407 4.4461 2.3711
8.3251 1.8043 6.1738
2.2846 0.1981 1.8847
8.3251 6.6916 2.3377
0.1871 6.6916 6.1738
1.9715 4.4461 6.1404
1.8950 6.1777 8.3189
4.0690 6.0522 6.5935
2.3611 6.5662 4.4484
4.4431 2.4437 6.5935
6.6172 6.1777 0.1926
2.2846 8.2978 6.6269
6.6172 2.3183 8.3189
6.2276 0.1981 6.6269
6.1511 6.5662 4.0631
2.3611 1.9297 4.0631
1.9715 4.0498 2.3711
4.4431 6.0522 1.9180
2.1280 2.1240 6.3837
2.1280 6.3719 2.1279
6.3841 2.1240 2.1279
6.3841 6.3719 6.3837
4.2561 0.0000 4.2558
0.0000 4.2480 0.0000
0.0000 4.2480 4.2558
4.2561 0.0000 0.0000
6.3841 2.1240 6.3837
6.3841 6.3719 2.1279
2.1280 6.3719 6.3837
2.1280 2.1240 2.1279